Density functional theory data (PBE) for crystalline NpFe4P12 at its relaxed geometry.

Cell lengths 6.7234, 6.7234, 6.7234 Å; angles 109.47, 109.47, 109.47 degrees
Closest atoms and distances in Å follow each position.
Fractional coordinates of all 17 atoms:
1 Np 0.0000 0.0000 0.0000  12 P 2.95
2 Fe 0.0000 0.0000 0.5000  6 P 2.22
3 Fe 0.0000 0.5000 0.0000  6 P 2.22
4 Fe 0.5000 0.0000 0.0000  6 P 2.22
5 Fe 0.5000 0.5000 0.5000  6 P 2.22
6 P 0.1513 0.3492 0.5005  2 Fe 2.22, 2 P 2.34-2.35
7 P 0.1513 0.6508 0.8022  2 Fe 2.22, 2 P 2.34-2.35
8 P 0.1978 0.8487 0.3492  2 Fe 2.22, 2 P 2.34-2.35
9 P 0.3492 0.1978 0.8487  2 Fe 2.22, 2 P 2.34-2.35
10 P 0.3492 0.5005 0.1513  2 Fe 2.22, 2 P 2.34-2.35
11 P 0.4995 0.8487 0.6508  2 Fe 2.22, 2 P 2.34-2.35
12 P 0.5005 0.1513 0.3492  2 Fe 2.22, 2 P 2.34-2.35
13 P 0.6508 0.4995 0.8487  2 Fe 2.22, 2 P 2.34-2.35
14 P 0.6508 0.8022 0.1513  2 Fe 2.22, 2 P 2.34-2.35
15 P 0.8022 0.1513 0.6508  2 Fe 2.22, 2 P 2.34-2.35
16 P 0.8487 0.3492 0.1978  2 Fe 2.22, 2 P 2.34-2.35
17 P 0.8487 0.6508 0.4995  2 Fe 2.22, 2 P 2.34-2.35

Summary:
ΔE_f = -0.57 eV/atom